VASP calculation (PBE) on Eu2Cu2O5 after structural relaxation.

Output
total energy after the MP2020 corrections = -144.97 eV for the cell shown
energy = -7.67 eV per atom
formation energy = -2.1147 eV per atom

CIF file:
```
data_Eu2Cu2O5
_chemical_formula_sum 'Eu4 Cu4 O10'
_cell_length_a 8.695
_cell_length_b 8.695
_cell_length_c 8.695
_cell_angle_alpha 52.55
_cell_angle_beta 142.81
_cell_angle_gamma 144.23
_space_group_name_H-M_alt 'P 1'
_space_group_IT_number 1
_space_group_name_Hall 'P 1'
loop_
_atom_site_label
_atom_site_type_symbol
_atom_site_fract_x
_atom_site_fract_y
_atom_site_fract_z
Eu1 Eu 0.017 0.112 0.129
Eu2 Eu 0.017 0.388 0.405
Eu3 Eu 0.983 0.612 0.595
Eu4 Eu 0.983 0.888 0.871
Cu1 Cu 0.485 0.782 0.203
Cu2 Cu 0.493 0.493 0.000
Cu3 Cu 0.493 0.993 0.500
Cu4 Cu 0.579 0.282 0.797
O1 O 0.009 0.655 0.855
O2 O 0.408 0.107 0.575
O3 O 0.408 0.333 0.802
O4 O 0.498 0.233 0.241
O5 O 0.498 0.757 0.765
O6 O 0.531 0.607 0.198
O7 O 0.531 0.833 0.425
O8 O 0.800 0.155 0.145
O9 O 0.992 0.257 0.759
O10 O 0.992 0.733 0.235
```